Sm3Ti4CoO14 PBE with a Hubbard U relaxed; space-group type = R-3m, No. 166; energy of formation from the pure elements = -3349.5 meV per atom; M_tot = 0.182 μB/atom
1.0
-3.839 -0.951 -5.948
-5.693 -4.305 0.278
-6.503 2.933 -0.356
Ti O Sm Co
4 14 3 1
Cartesian
0.000 0.000 0.000
-1.919 -0.476 -2.974
-2.846 -2.153 0.139
-3.252 1.466 -0.178
-6.909 -3.366 -3.871
-8.535 -0.996 -0.459
-8.631 -3.375 -1.769
-11.371 0.410 -5.703
-10.892 -3.870 -5.328
-5.143 1.546 -0.699
-7.404 1.051 -4.258
-4.664 -2.734 -0.323
-9.805 -1.421 -3.685
-3.568 -0.750 -4.005
-12.467 -1.573 -2.022
-6.231 -0.903 -2.342
-7.500 -1.328 -5.568
-9.126 1.042 -2.156
-5.171 0.991 -3.152
-6.098 -0.686 -0.039
-4.766 -2.628 -2.835
-8.018 -1.162 -3.013


MgFe2Cl2O2 PBE with a Hubbard U relaxed; space-group type = Pmm2, No. 25; energy of formation from the pure elements = -1298.4 meV per atom; relative energy among the computed polymorphs = 185 meV/atom; M_tot = 1.143 μB/atom
1.0
3.723 0.000 0.000
0.000 3.759 0.000
0.000 0.000 9.537
Fe Cl O Mg
2 2 2 1
Cartesian
0.000 1.880 9.238
1.861 0.000 1.478
0.000 0.000 2.930
1.861 1.880 6.140
0.000 0.000 8.465
1.861 1.880 0.483
1.861 0.000 7.551


Li9Mn7O16 PBE with a Hubbard U relaxed; space-group type = C2/m, No. 12; energy of formation from the pure elements = -2117.6 meV per atom; relative energy among the computed polymorphs = 27 meV/atom; M_tot = 0.813 μB/atom
1.0
2.875 5.272 0.000
-2.875 5.272 0.000
0.000 1.087 9.780
Mn O Li
7 16 9
Cartesian
1.428 4.279 2.386
0.000 0.000 0.000
0.000 3.180 4.893
1.428 7.351 7.395
-1.428 4.279 2.386
0.000 8.451 4.888
-1.428 7.351 7.395
0.000 3.480 1.364
0.000 1.402 6.235
-1.439 7.765 3.751
0.000 8.151 8.416
0.000 2.920 8.453
-1.439 3.866 6.030
-1.503 5.694 8.560
1.439 3.866 6.030
0.000 8.711 1.327
0.000 10.229 3.545
1.503 5.937 1.220
-1.503 5.937 1.220
1.439 7.765 3.751
0.000 4.994 3.549
0.000 6.637 6.231
1.503 5.694 8.560
1.438 5.815 4.890
0.000 10.039 7.383
0.000 1.592 2.398
0.000 6.836 2.354
0.000 5.272 0.000
0.000 4.794 7.426
1.438 2.636 0.000
-1.438 5.815 4.890
-1.438 2.636 0.000


Na2MgFe4O8 PBE with a Hubbard U relaxed; space-group type = C2/m, No. 12; energy of formation from the pure elements = -1763.6 meV per atom; M_tot = 1.333 μB/atom
1.0
-1.119 1.958 6.025
1.842 5.718 2.337
-4.067 4.737 1.538
O Mg Na Fe
8 1 2 4
Cartesian
-0.930 3.469 2.765
-0.580 7.048 6.676
-2.764 5.365 3.223
-2.415 8.944 7.134
-3.366 6.584 6.298
-1.970 8.357 4.560
0.021 5.829 3.602
-1.374 4.056 5.339
-2.226 10.455 3.874
-0.526 1.926 1.541
-2.819 10.487 8.358
-1.113 5.227 1.937
0.361 3.838 4.181
-1.672 6.206 4.949
-2.593 3.348 3.781


Na5CoO4 PBE with a Hubbard U relaxed; space-group type = Pbca, No. 61; energy of formation from the pure elements = -1533.5 meV per atom; relative energy among the computed polymorphs = 0 meV/atom
1.0
6.010 0.000 0.000
0.000 10.460 0.000
0.000 0.000 18.013
Na O Co
40 32 8
Cartesian
3.474 9.816 1.175
3.605 6.021 13.463
5.534 2.090 11.541
0.512 3.556 9.045
0.476 3.140 2.534
3.517 1.674 9.045
3.605 0.791 13.557
0.469 0.644 7.832
3.481 7.320 6.472
5.541 9.816 10.181
5.410 6.021 4.456
0.600 9.669 13.463
2.529 3.140 11.541
5.402 3.407 5.910
3.614 8.637 12.103
0.512 8.786 17.975
5.499 6.905 8.968
2.493 3.556 0.038
5.402 8.637 3.096
2.536 5.875 10.181
2.536 0.644 16.838
3.517 6.905 17.975
3.481 2.090 2.534
0.476 8.371 6.472
5.499 1.674 0.038
2.405 4.439 4.550
0.609 1.823 14.917
5.410 0.791 4.550
3.614 3.407 14.917
5.541 4.586 16.838
0.609 7.054 12.103
0.469 5.875 1.175
0.600 4.439 13.557
5.534 7.320 15.479
2.493 8.786 8.968
2.405 9.669 4.456
3.474 4.586 7.832
2.396 7.054 3.096
2.396 1.823 5.910
2.529 8.371 15.479
5.180 5.681 6.829
4.456 1.417 15.767
1.146 1.401 9.850
3.835 0.451 11.185
4.864 9.060 8.163
0.830 4.780 11.185
4.151 9.060 17.169
4.560 6.647 2.246
4.456 6.647 11.252
1.450 3.813 15.767
4.560 1.417 6.761
1.859 1.401 0.844
2.175 4.780 2.178
1.450 9.044 11.252
1.146 6.631 17.169
1.859 6.631 8.163
0.830 10.010 15.835
4.420 9.116 14.213
1.555 3.813 6.761
1.415 6.575 14.213
2.175 10.010 6.829
4.864 3.829 0.844
4.595 3.886 3.800
1.590 1.345 3.800
4.595 9.116 5.206
1.415 1.345 12.807
1.590 6.575 5.206
4.420 3.886 12.807
5.180 0.451 2.178
4.151 3.829 9.850
1.555 9.044 2.246
3.835 5.681 15.835
4.966 4.807 11.217
4.966 10.037 15.802
1.961 5.654 15.802
1.961 0.423 11.217
1.045 0.423 2.211
1.045 5.654 6.796
4.050 4.807 2.211
4.050 10.037 6.796


KMnH2OF4 PBE with a Hubbard U relaxed; space-group type = C2/c, No. 15; energy of formation from the pure elements = -2381.9 meV per atom; M_tot = 0.444 μB/atom
1.0
3.183 6.924 0.000
-3.183 6.924 0.000
0.000 2.573 10.414
H O F K Mn
8 4 16 4 4
Cartesian
-0.555 13.152 7.239
-0.555 4.554 8.382
-0.662 6.053 7.868
-0.662 11.653 7.753
0.555 11.866 2.032
0.662 10.367 2.546
0.662 4.767 2.661
0.555 3.268 3.175
1.115 4.084 3.215
1.115 11.050 1.992
-1.115 5.371 8.422
-1.115 12.336 7.199
-1.561 7.946 9.765
-0.291 10.036 8.421
0.187 14.651 7.119
-0.209 4.835 5.600
-0.187 13.365 1.912
-1.561 9.761 5.856
0.291 8.749 3.214
-0.187 1.769 3.295
1.561 8.474 0.649
1.561 6.660 4.558
0.187 3.055 8.502
0.209 11.585 4.814
0.291 6.385 1.993
-0.209 12.872 10.021
-0.291 7.671 7.200
0.209 3.549 0.393
-1.527 8.162 0.585
1.527 8.259 9.829
-1.527 6.972 4.622
1.527 9.448 5.792
-1.635 8.853 7.810
1.591 4.748 5.207
-1.591 3.462 0.000
1.635 7.567 2.603


Li2V3Si3O10 PBE with a Hubbard U relaxed; space-group type = C2/c, No. 15; energy of formation from the pure elements = -2744.0 meV per atom; M_tot = 0.500 μB/atom
1.0
2.433 7.915 0.000
-2.433 7.915 0.000
0.000 0.506 10.605
O V Li Si
20 6 4 6
Cartesian
-0.095 15.258 1.471
0.083 13.599 4.194
-0.095 0.826 3.832
-0.349 7.211 8.616
0.095 1.079 9.134
0.349 9.126 1.989
-0.083 2.739 6.411
-0.122 4.620 8.860
-0.195 10.486 4.893
0.122 4.367 3.558
0.195 10.740 10.196
0.349 6.958 3.314
0.195 5.851 5.711
-0.083 13.852 9.496
-0.349 9.379 7.291
0.083 2.485 1.109
0.095 15.512 6.773
-0.195 5.598 0.409
-0.122 11.970 7.047
0.122 11.717 1.744
-1.275 5.639 2.262
1.275 5.892 7.564
1.275 10.698 8.343
1.217 3.958 0.000
-1.275 10.445 3.041
-1.217 4.211 5.302
-1.495 8.846 0.255
1.495 7.491 10.349
1.495 9.100 5.558
-1.495 7.238 5.047
1.463 8.042 2.651
-0.893 5.912 9.549
-1.463 8.295 7.954
0.893 5.659 4.246
0.893 10.425 1.056
-0.893 10.678 6.359


CsCrCoF6 PBE with a Hubbard U relaxed; space-group type = Imma, No. 74; energy of formation from the pure elements = -2874.2 meV per atom; M_tot = 0.667 μB/atom
1.0
-3.716 3.722 5.341
3.716 -3.722 5.341
3.716 3.722 -5.341
F Co Cr Cs
12 2 2 2
Cartesian
1.387 0.371 6.640
2.328 -0.371 1.299
5.103 -0.371 1.299
3.716 1.861 0.653
0.000 1.861 4.688
1.387 4.093 4.042
2.328 3.352 -1.299
3.716 -1.861 3.444
0.000 5.583 1.897
1.387 -0.371 4.042
2.328 4.093 1.299
-1.387 4.093 4.042
1.858 1.861 -2.670
1.858 -1.861 2.670
0.000 0.000 5.341
3.716 0.000 0.000
3.716 1.861 4.046
0.000 1.861 1.294


TiNiO3 PBE with a Hubbard U relaxed; energy of formation from the pure elements = -2596.7 meV per atom
1.0
2.866 -4.187 0.000
6.164 4.219 6.274
-1.625 -4.187 2.361
O Ni Ti
12 4 4
Cartesian
2.458 -0.208 2.866
4.671 0.992 6.787
4.855 -1.804 7.696
2.549 -2.351 0.939
3.206 -6.007 4.559
0.431 -3.963 2.633
4.198 1.853 4.076
3.022 -3.211 3.650
6.973 -0.192 6.003
4.946 -3.947 5.770
2.734 -5.147 1.848
4.383 -0.944 4.985
2.373 -1.450 4.515
0.516 -2.721 0.983
6.888 -1.434 7.652
5.031 -2.705 4.120
3.750 -3.582 1.682
5.399 0.621 4.819
2.005 -4.776 3.816
3.654 -0.573 6.953


Li5Fe8B8O24 PBE with a Hubbard U relaxed; space-group type = P1, No. 1; energy of formation from the pure elements = -2287.7 meV per atom; relative energy among the computed polymorphs = 3 meV/atom; M_tot = 0.778 μB/atom
1.0
5.268 0.000 0.000
0.003 -9.081 0.000
0.240 0.000 -10.211
O Fe B Li
24 8 8 5
Cartesian
2.378 -6.201 -9.426
4.252 -4.252 -3.738
4.001 -2.820 -6.949
2.292 -2.916 -4.195
4.255 -4.862 -8.775
4.915 -7.478 -4.403
3.130 -3.043 -0.849
1.263 -1.766 -1.735
1.062 -4.137 -1.460
0.531 -1.685 -5.824
4.334 -1.875 -3.426
0.495 -7.549 -0.840
3.667 -8.696 -1.103
1.817 -2.587 -8.622
5.000 -1.624 -9.372
1.238 -7.097 -6.989
3.253 -6.038 -6.158
1.175 -4.838 -6.181
4.385 -7.263 -8.701
3.968 -0.439 -6.835
1.478 -8.766 -3.549
3.837 -6.353 -1.664
1.562 -6.377 -3.475
1.680 -0.242 -9.054
4.451 -1.422 -1.347
4.546 -7.683 -6.423
3.676 -3.054 -8.993
1.984 -3.020 -6.432
3.501 -6.168 -3.895
0.941 -1.482 -3.880
1.051 -7.510 -8.935
1.797 -5.972 -1.301
3.679 -6.083 -8.965
1.905 -5.982 -6.456
1.799 -2.999 -1.339
1.081 -1.478 -9.008
4.405 -7.539 -1.209
4.583 -1.589 -6.521
0.886 -7.558 -3.826
3.634 -3.023 -3.801
0.930 -4.589 -4.120
4.451 -4.491 -1.681
1.825 -8.948 -1.590
3.669 -0.021 -8.988
4.610 -4.682 -6.767


Cr2O5 PBE with a Hubbard U relaxed; space-group type = Pbam, No. 55; energy of formation from the pure elements = -1498.4 meV per atom; relative energy among the computed polymorphs = 224 meV/atom; M_tot = 0.286 μB/atom
1.0
3.392 0.000 0.000
0.000 5.788 0.000
0.000 0.000 9.602
Cr O
4 10
Cartesian
1.696 4.107 1.298
1.696 1.213 3.504
1.696 1.682 8.305
1.696 4.576 6.099
1.696 0.319 2.101
0.000 1.174 8.638
1.696 5.470 7.501
0.000 1.720 3.837
1.696 2.894 0.000
1.696 0.000 4.801
1.696 2.576 6.903
0.000 4.068 5.765
0.000 4.614 0.964
1.696 3.213 2.700


MgCr2Fe4O10 PBE with a Hubbard U relaxed; space-group type = Amm2, No. 38; energy of formation from the pure elements = -1926.1 meV per atom; relative energy among the computed polymorphs = 10 meV/atom; M_tot = 1.529 μB/atom
1.0
3.874 0.000 0.000
-1.937 5.026 0.000
0.000 0.000 9.949
O Cr Fe Mg
10 2 4 1
Cartesian
0.000 0.512 3.768
1.937 2.253 2.487
0.000 2.348 7.462
1.937 4.447 8.786
1.937 1.892 9.283
0.000 3.482 3.897
0.000 3.482 1.077
1.937 1.892 5.640
0.000 0.512 1.206
1.937 4.447 6.137
1.937 2.987 7.462
0.001 2.065 2.487
0.000 1.242 5.676
1.937 3.566 4.417
1.937 3.566 0.558
0.000 1.242 9.247
1.937 0.087 2.487